# 1
{"formula": "CoH8C3N2O6", "functional": "PBE+U", "state": "relaxed", "lattice": [[7.3595, 0.0000, 0.0000], [0.0000, 8.0933, 0.0000], [0.0000, 0.0000, 14.1240]], "species": ["Co", "Co", "Co", "Co", "H", "H", "H", "H", "H", "H", "H", "H", "H", "H", "H", "H", "H", "H", "H", "H", "H", "H", "H", "H", "H", "H", "H", "H", "H", "H", "H", "H", "H", "H", "H", "H", "C", "C", "C", "C", "C", "C", "C", "C", "C", "C", "C", "C", "N", "N", "N", "N", "N", "N", "N", "N", "O", "O", "O", "O", "O", "O", "O", "O", "O", "O", "O", "O", "O", "O", "O", "O", "O", "O", "O", "O", "O", "O", "O", "O"], "fractional_positions": [[0.2425, 0.2189, 0.1650], [0.2575, 0.7811, 0.6650], [0.7425, 0.2811, 0.8350], [0.7575, 0.7189, 0.3350], [0.0065, 0.1739, 0.9882], [0.0093, 0.5100, 0.2178], [0.0216, 0.5725, 0.8041], [0.0938, 0.8074, 0.9644], [0.2142, 0.2192, 0.3974], [0.2238, 0.0622, 0.4788], [0.2257, 0.4031, 0.5300], [0.2286, 0.2411, 0.5993], [0.2714, 0.7589, 0.0993], [0.2743, 0.5969, 0.0300], [0.2762, 0.9378, 0.9788], [0.2858, 0.7808, 0.8974], [0.4062, 0.1926, 0.4644], [0.4784, 0.4275, 0.3041], [0.4907, 0.4900, 0.7178], [0.4935, 0.8261, 0.4882], [0.5065, 0.3261, 0.0118], [0.5093, 0.9900, 0.7822], [0.5216, 0.9275, 0.1959], [0.5938, 0.6926, 0.0356], [0.7142, 0.2808, 0.6026], [0.7238, 0.4378, 0.5212], [0.7257, 0.0969, 0.4700], [0.7286, 0.2589, 0.4007], [0.7714, 0.7411, 0.9007], [0.7743, 0.9031, 0.9700], [0.7762, 0.5622, 0.0212], [0.7858, 0.7192, 0.1026], [0.9062, 0.3074, 0.5356], [0.9784, 0.0725, 0.6959], [0.9907, 0.0100, 0.2822], [0.9935, 0.6739, 0.5118], [0.0008, 0.5155, 0.7336], [0.0090, 0.4426, 0.2858], [0.0101, 0.8059, 0.4941], [0.4899, 0.1941, 0.9941], [0.4910, 0.5574, 0.7858], [0.4992, 0.4845, 0.2336], [0.5008, 0.9845, 0.2664], [0.5090, 0.0574, 0.7142], [0.5101, 0.6941, 0.5059], [0.9899, 0.3059, 0.0059], [0.9910, 0.9426, 0.2142], [0.9992, 0.0155, 0.7664], [0.1778, 0.2847, 0.5362], [0.2362, 0.8160, 0.9641], [0.2638, 0.1840, 0.4641], [0.3222, 0.7153, 0.0362], [0.6778, 0.2153, 0.4638], [0.7362, 0.6840, 0.0359], [0.7638, 0.3160, 0.5359], [0.8222, 0.7847, 0.9638], [0.0814, 0.3659, 0.0738], [0.0830, 0.0020, 0.1460], [0.0871, 0.5745, 0.6636], [0.1011, 0.3096, 0.2901], [0.1081, 0.8945, 0.7724], [0.1216, 0.8893, 0.5441], [0.3784, 0.1107, 0.0441], [0.3919, 0.1055, 0.2724], [0.3989, 0.6904, 0.7901], [0.4129, 0.4255, 0.1636], [0.4170, 0.9980, 0.6460], [0.4186, 0.6341, 0.5738], [0.5814, 0.1341, 0.9262], [0.5830, 0.4980, 0.8540], [0.5871, 0.9255, 0.3364], [0.6011, 0.1904, 0.7099], [0.6081, 0.6055, 0.2276], [0.6216, 0.6107, 0.4559], [0.8784, 0.3893, 0.9559], [0.8919, 0.3945, 0.7276], [0.8989, 0.8096, 0.2099], [0.9129, 0.0745, 0.8364], [0.9170, 0.5020, 0.3540], [0.9186, 0.8659, 0.4262]]}

=====

# 2
{"formula": "K2LiCoF6", "functional": "PBE+U", "state": "relaxed", "lattice": [[0.0000, 4.0257, 4.0257], [4.0257, 0.0000, 4.0257], [4.0257, 4.0257, 0.0000]], "species": ["K", "K", "Li", "Co", "F", "F", "F", "F", "F", "F"], "fractional_positions": [[0.2500, 0.2500, 0.2500], [0.7500, 0.7500, 0.7500], [0.0000, 0.0000, 0.0000], [0.5000, 0.5000, 0.5000], [0.2589, 0.2589, 0.7411], [0.2589, 0.7411, 0.2589], [0.2589, 0.7411, 0.7411], [0.7411, 0.2589, 0.2589], [0.7411, 0.2589, 0.7411], [0.7411, 0.7411, 0.2589]]}

=====

# 3
{"formula": "LiMn3Al2H6O12", "functional": "PBE+U", "state": "relaxed", "lattice": [[5.8780, 0.0000, 0.0000], [1.5089, 7.8070, 0.0000], [0.0385, 1.8648, 9.5101]], "species": ["Li", "Li", "Mn", "Mn", "Mn", "Mn", "Mn", "Mn", "Al", "Al", "Al", "Al", "H", "H", "H", "H", "H", "H", "H", "H", "H", "H", "H", "H", "O", "O", "O", "O", "O", "O", "O", "O", "O", "O", "O", "O", "O", "O", "O", "O", "O", "O", "O", "O", "O", "O", "O", "O"], "fractional_positions": [[0.1583, 0.3447, 0.0004], [0.8417, 0.6553, 0.9996], [0.0814, 0.6643, 0.4939], [0.2500, 0.0002, 0.4997], [0.4180, 0.3355, 0.5069], [0.5820, 0.6645, 0.4931], [0.7500, 0.9998, 0.5003], [0.9186, 0.3357, 0.5061], [0.0000, 0.0000, 0.0000], [0.3307, 0.6598, 0.0007], [0.5000, 0.0000, 0.0000], [0.6693, 0.3402, 0.9993], [0.0537, 0.8297, 0.7953], [0.1408, 0.5167, 0.2091], [0.2106, 0.1532, 0.7959], [0.2889, 0.8364, 0.2118], [0.3879, 0.4982, 0.7914], [0.4697, 0.1755, 0.1996], [0.5303, 0.8245, 0.8004], [0.6121, 0.5018, 0.2086], [0.7111, 0.1636, 0.7882], [0.7894, 0.8468, 0.2041], [0.8592, 0.4833, 0.7909], [0.9463, 0.1703, 0.2047], [0.0327, 0.8550, 0.5961], [0.0639, 0.8117, 0.8983], [0.1312, 0.5458, 0.1065], [0.1362, 0.4645, 0.4000], [0.1976, 0.2192, 0.6134], [0.2209, 0.1166, 0.8995], [0.2841, 0.8691, 0.1064], [0.3018, 0.7808, 0.3857], [0.3651, 0.5352, 0.6016], [0.3976, 0.4791, 0.8947], [0.4683, 0.1454, 0.4040], [0.4689, 0.1914, 0.0968], [0.5311, 0.8086, 0.9032], [0.5317, 0.8546, 0.5960], [0.6024, 0.5209, 0.1053], [0.6349, 0.4648, 0.3984], [0.6982, 0.2192, 0.6143], [0.7159, 0.1309, 0.8936], [0.7791, 0.8834, 0.1005], [0.8024, 0.7808, 0.3866], [0.8638, 0.5355, 0.6000], [0.8688, 0.4542, 0.8935], [0.9361, 0.1883, 0.1017], [0.9673, 0.1450, 0.4039]], "de_polymorph_ev_per_atom": 0.018}

=====

# 4
{"formula": "Li9Mn2Co5O16", "functional": "PBE+U", "state": "relaxed", "lattice": [[9.7983, -1.4529, 0.0000], [9.7983, 1.4529, 0.0000], [-1.0997, 0.0000, 10.2225]], "species": ["Li", "Li", "Li", "Li", "Li", "Li", "Li", "Li", "Li", "Mn", "Mn", "Co", "Co", "Co", "Co", "Co", "O", "O", "O", "O", "O", "O", "O", "O", "O", "O", "O", "O", "O", "O", "O", "O"], "fractional_positions": [[0.0000, 0.0000, 0.0000], [0.1202, 0.1202, 0.6983], [0.1226, 0.1226, 0.1697], [0.3837, 0.3837, 0.0533], [0.3843, 0.3843, 0.5690], [0.6157, 0.6157, 0.4310], [0.6163, 0.6163, 0.9467], [0.8774, 0.8774, 0.8303], [0.8798, 0.8798, 0.3017], [0.2510, 0.2510, 0.3736], [0.7490, 0.7490, 0.6264], [0.0000, 0.0000, 0.5000], [0.2491, 0.2491, 0.8808], [0.4963, 0.4963, 0.7669], [0.5037, 0.5037, 0.2331], [0.7509, 0.7509, 0.1192], [0.0535, 0.0535, 0.3553], [0.0590, 0.0590, 0.8351], [0.1907, 0.1907, 0.0318], [0.1967, 0.1967, 0.5316], [0.3042, 0.3042, 0.7034], [0.3068, 0.3068, 0.2361], [0.4385, 0.4385, 0.8915], [0.4468, 0.4468, 0.4174], [0.5532, 0.5532, 0.5826], [0.5615, 0.5615, 0.1085], [0.6932, 0.6932, 0.7639], [0.6958, 0.6958, 0.2966], [0.8033, 0.8033, 0.4684], [0.8093, 0.8093, 0.9682], [0.9410, 0.9410, 0.1649], [0.9465, 0.9465, 0.6447]], "de_polymorph_ev_per_atom": 0.094}

=====

# 5
{"formula": "Li3FeSiO5", "functional": "PBE+U", "state": "relaxed", "lattice": [[5.0256, 0.0000, 0.0000], [-1.6591, 5.5573, 0.0000], [-0.8918, -1.9727, 6.1448]], "species": ["Li", "Li", "Li", "Li", "Li", "Li", "Fe", "Fe", "Si", "Si", "O", "O", "O", "O", "O", "O", "O", "O", "O", "O"], "fractional_positions": [[0.0000, 0.0000, 0.0000], [0.0000, 0.5000, 0.0000], [0.2024, 0.4002, 0.3977], [0.3909, 0.7987, 0.8138], [0.6091, 0.2013, 0.1862], [0.7976, 0.5998, 0.6023], [0.1964, 0.8900, 0.3905], [0.8036, 0.1100, 0.6095], [0.4035, 0.3081, 0.8083], [0.5965, 0.6919, 0.1917], [0.1253, 0.9888, 0.7120], [0.1301, 0.4271, 0.7052], [0.3355, 0.3737, 0.0819], [0.3360, 0.8368, 0.1202], [0.4900, 0.2529, 0.5377], [0.5100, 0.7471, 0.4623], [0.6640, 0.1632, 0.8798], [0.6645, 0.6263, 0.9181], [0.8699, 0.5729, 0.2948], [0.8747, 0.0112, 0.2880]], "de_polymorph_ev_per_atom": 0.074}

=====

# 6
{"formula": "Mn3Si3O10", "functional": "PBE+U", "state": "relaxed", "lattice": [[7.8540, -2.4758, 0.0000], [7.8540, 2.4758, 0.0000], [-0.2779, 0.0000, 10.2131]], "species": ["Mn", "Mn", "Mn", "Mn", "Mn", "Mn", "Si", "Si", "Si", "Si", "Si", "Si", "O", "O", "O", "O", "O", "O", "O", "O", "O", "O", "O", "O", "O", "O", "O", "O", "O", "O", "O", "O"], "fractional_positions": [[0.0000, 0.5000, 0.0000], [0.0654, 0.6274, 0.7266], [0.3726, 0.9346, 0.7734], [0.5000, 0.0000, 0.5000], [0.6274, 0.0654, 0.2266], [0.9346, 0.3726, 0.2734], [0.1574, 0.5521, 0.4106], [0.1872, 0.8128, 0.2500], [0.4479, 0.8426, 0.0894], [0.5521, 0.1574, 0.9106], [0.8128, 0.1872, 0.7500], [0.8426, 0.4479, 0.5894], [0.0589, 0.0787, 0.8358], [0.0787, 0.0589, 0.3358], [0.1353, 0.1820, 0.1072], [0.1820, 0.1353, 0.6072], [0.2484, 0.4288, 0.5597], [0.2684, 0.2964, 0.3249], [0.2964, 0.2684, 0.8249], [0.3377, 0.5546, 0.3479], [0.4288, 0.2484, 0.0597], [0.4454, 0.6623, 0.1521], [0.5546, 0.3377, 0.8479], [0.5712, 0.7516, 0.9403], [0.6623, 0.4454, 0.6521], [0.7036, 0.7316, 0.1751], [0.7316, 0.7036, 0.6751], [0.7516, 0.5712, 0.4403], [0.8180, 0.8647, 0.3928], [0.8647, 0.8180, 0.8928], [0.9213, 0.9411, 0.6642], [0.9411, 0.9213, 0.1642]]}

=====

# 7
{"formula": "Sr2MgCuWO6", "functional": "PBE+U", "state": "relaxed", "lattice": [[5.7239, 0.0000, 0.0000], [-2.7135, 5.1963, 0.0000], [-1.9130, -2.2291, 5.4045]], "species": ["Sr", "Sr", "Mg", "Cu", "W", "O", "O", "O", "O", "O", "O"], "fractional_positions": [[0.0000, 0.0000, 0.0000], [0.2126, 0.5760, 0.6589], [0.4950, 0.2185, 0.5302], [0.6249, 0.3095, 0.0868], [0.6447, 0.7947, 0.3612], [0.0713, 0.0730, 0.4609], [0.2494, 0.5056, 0.2590], [0.4986, 0.0176, 0.1961], [0.6120, 0.5998, 0.0204], [0.6513, 0.0139, 0.6672], [0.7846, 0.6079, 0.5867]], "de_polymorph_ev_per_atom": 0.056}

=====

# 8
{"formula": "Li5FeOF5", "functional": "PBE+U", "state": "relaxed", "lattice": [[-1.1220, -1.8239, 4.6853], [7.1281, 5.0330, 4.5479], [-4.6762, 7.4208, 1.8446]], "species": ["Li", "Li", "Li", "Li", "Li", "Li", "Li", "Li", "Li", "Li", "Li", "Li", "Li", "Li", "Li", "Li", "Li", "Li", "Li", "Li", "Fe", "Fe", "Fe", "Fe", "F", "F", "F", "F", "F", "F", "F", "F", "F", "F", "F", "F", "F", "F", "F", "F", "F", "F", "F", "F", "O", "O", "O", "O"], "fractional_positions": [[0.1323, 0.2459, 0.1177], [0.8606, 0.7459, 0.8750], [0.3605, 0.7459, 0.3750], [0.3948, 0.7394, 0.0287], [0.8948, 0.7393, 0.5287], [0.2622, 0.5098, 0.9144], [0.7420, 0.5083, 0.0721], [0.7622, 0.5098, 0.4144], [0.8854, 0.7442, 0.2230], [0.4904, 0.0097, 0.8383], [0.2419, 0.5084, 0.5721], [0.6418, 0.2442, 0.3042], [0.5957, 0.2393, 0.9617], [0.3854, 0.7442, 0.7230], [0.0957, 0.2393, 0.4617], [0.9871, 0.0084, 0.6570], [0.1417, 0.2442, 0.8042], [0.9904, 0.0098, 0.3383], [0.4871, 0.0083, 0.1570], [0.6323, 0.2459, 0.6177], [0.2386, 0.5064, 0.2596], [0.0200, 0.0064, 0.9991], [0.7384, 0.5064, 0.7597], [0.5200, 0.0064, 0.4990], [0.8010, 0.1263, 0.8104], [0.0653, 0.6263, 0.0557], [0.9294, 0.3702, 0.2691], [0.6928, 0.8718, 0.6915], [0.9260, 0.3795, 0.6139], [0.2078, 0.8796, 0.5201], [0.4408, 0.3718, 0.4422], [0.9408, 0.3718, 0.9422], [0.5752, 0.6262, 0.2234], [0.7078, 0.8796, 0.0201], [0.2977, 0.1263, 0.6493], [0.5652, 0.6263, 0.5557], [0.3010, 0.1262, 0.3105], [0.7977, 0.1263, 0.1494], [0.4262, 0.3795, 0.1139], [0.4294, 0.3701, 0.7690], [0.1928, 0.8718, 0.1915], [0.0752, 0.6263, 0.7235], [0.1889, 0.8702, 0.8492], [0.6888, 0.8702, 0.3492], [0.3061, 0.1220, 0.9808], [0.0682, 0.6220, 0.3935], [0.5683, 0.6221, 0.8935], [0.8062, 0.1220, 0.4809]]}

=====

Calculated formation energy / eV per atom: -0.86, -2.75, -2.03, -1.77, -2.42, -2.67, -2.45, -2.79
E / eV/atom: -5.985, -4.577, -6.338, -5.761, -6.292, -7.753, -6.371, -5.060